Density functional theory data (GGA+U) for crystalline Li5Mn8B8O24 at its relaxed geometry.

Unit cell a=5.3198 b=9.1021 c=11.4904 alpha=112.74 beta=101.65 gamma=89.60
Element x y z (fractional)
Li 0.3043 0.1761 0.3267
O 0.2890 0.4006 0.1663
Mn 0.1616 0.9870 0.6215
Li 0.8179 0.6676 0.3267
Mn 0.9117 0.3783 0.1227
Mn 0.5966 0.0947 0.8762
O 0.5201 0.7470 0.3949
O 0.8301 0.6097 0.1492
Mn 0.3394 0.5306 0.3736
O 0.8791 0.2910 0.9310
B 0.3910 0.2509 0.1285
Mn 0.0821 0.6104 0.8704
O 0.4411 0.9686 0.3283
O 0.9701 0.2136 0.3638
O 0.9263 0.4506 0.3173
O 0.7422 0.8806 0.8637
Li 0.0744 0.9156 0.8365
B 0.1537 0.6517 0.6360
B 0.6020 0.7587 0.8667
O 0.1887 0.1210 0.8306
B 0.3623 0.8589 0.3746
O 0.2821 0.1258 0.1419
B 0.8341 0.3394 0.3627
Mn 0.4010 0.9031 0.1122
O 0.1195 0.8684 0.4054
Mn 0.8335 0.0055 0.3651
B 0.1027 0.2752 0.8783
Mn 0.6512 0.4602 0.6153
Li 0.6481 0.7961 0.5967
O 0.3609 0.7862 0.9021
O 0.5667 0.2755 0.6601
O 0.6905 0.6064 0.8373
B 0.9068 0.7341 0.1264
O 0.0923 0.7292 0.0539
Li 0.5605 0.4057 0.8403
O 0.6054 0.3679 0.4072
O 0.8043 0.8852 0.1787
O 0.8445 0.0841 0.5498
O 0.2204 0.4021 0.8721
O 0.6075 0.2338 0.0757
O 0.5658 0.0164 0.6648
O 0.0247 0.7848 0.6411
O 0.0556 0.5458 0.6824
B 0.6541 0.1293 0.6238
O 0.3729 0.6197 0.5841

Summary:
Corrected total energy (MP2020 scheme) (eV/atom): -8.112
Calculated formation energy (eV/f.u.): -110.02
Symmetry: P1, No. 1
Raw total energy (eV per atom): -7.45
ΔE to the lowest computed polymorph (eV/f.u.): 0.04
Calculated volume (Å³ per atom): 11.133